No. 1
! PBE-GGA MgFe2S4, relaxed; values from VASP
! Spin magnetization = 1.99 μB per formula unit
! Calculated total energy = -5.5747 eV/atom
&SYSTEM
  ibrav = 0, nat = 14, ntyp = 3
/
ATOMIC_SPECIES
Mg 24.30 Mg.upf
Fe 55.84 Fe.upf
S 32.06 S.upf
ATOMIC_POSITIONS angstrom
Mg 4.9297 4.9297 4.9297
Mg 7.3946 7.3946 7.3946
Fe 1.2324 1.2324 1.2324
Fe 1.2324 3.6973 3.6973
Fe 3.6973 1.2324 3.6973
Fe 3.6973 3.6973 1.2324
S 3.5295 3.5295 3.5295
S 8.7948 5.9944 5.9944
S 5.9944 5.9944 8.7948
S 5.9944 8.7948 5.9944
S 6.3299 6.3299 3.5295
S 6.3299 3.5295 6.3299
S 8.7948 8.7948 8.7948
S 3.5295 6.3299 6.3299
CELL_PARAMETERS angstrom
0.0000 4.9297 4.9297
4.9297 0.0000 4.9297
4.9297 4.9297 0.0000

No. 2
! PBE-GGA MgFe4Sb4S4, relaxed; values from VASP
! Spin magnetization = 2.00 μB per formula unit
! Offset from the most stable computed form = 0.00 kJ/mol of atoms
&SYSTEM
  ibrav = 0, nat = 13, ntyp = 4
/
ATOMIC_SPECIES
Mg 24.30 Mg.upf
Fe 55.84 Fe.upf
Sb 121.76 Sb.upf
S 32.06 S.upf
ATOMIC_POSITIONS angstrom
Mg 3.0713 0.3796 3.6953
Fe 4.1371 0.9459 6.6803
Fe 2.7416 -2.2381 3.9371
Fe 2.1321 -0.1617 0.5539
Fe 3.5230 2.9732 3.2478
Sb 5.1604 -1.3006 3.0922
Sb 1.0814 2.1576 4.1717
Sb 3.3921 -3.8679 2.0719
Sb 2.8778 4.6172 5.1668
S 1.5087 -0.9525 2.5302
S 4.7711 1.6963 4.6788
S 2.6337 -0.7091 6.0013
S 3.6232 1.4944 1.2713
CELL_PARAMETERS angstrom
-0.9588 1.1064 5.8722
3.4640 -5.3251 1.2884
3.5224 5.2336 -0.1721

No. 3
! PBE-GGA MgFe4Sb4S4, relaxed; values from VASP
! Spin magnetization = 0.08 μB per formula unit
! Offset from the most stable computed form = 0.08 kJ/mol of atoms
&SYSTEM
  ibrav = 0, nat = 13, ntyp = 4
/
ATOMIC_SPECIES
Mg 24.30 Mg.upf
Fe 55.84 Fe.upf
Sb 121.76 Sb.upf
S 32.06 S.upf
ATOMIC_POSITIONS angstrom
Mg -3.0938 -3.4601 -0.5470
Fe -6.0454 -4.8907 -0.7728
Fe -3.0354 -2.8848 -3.0560
Fe -0.1421 -2.0295 -0.3212
Fe -3.1522 -4.0354 1.9621
Sb -2.0730 -5.3002 -2.2076
Sb -4.1145 -1.6200 1.1136
Sb -0.7721 -3.1068 -4.2620
Sb -5.4154 -3.8135 3.1680
S -2.0434 -1.5391 -1.4332
S -4.1441 -5.3811 0.3392
S -5.2285 -3.0799 -2.0478
S -0.9590 -3.8404 0.9539
CELL_PARAMETERS angstrom
-5.9788 0.2601 -0.0923
0.1478 -3.0337 -5.6886
-0.3565 -4.1467 4.6870

No. 4
! PBE-GGA MgFe4Sb4S4, relaxed; values from VASP
! Spin magnetization = 2.01 μB per formula unit
! Offset from the most stable computed form = 3.51 kJ/mol of atoms
&SYSTEM
  ibrav = 0, nat = 13, ntyp = 4
/
ATOMIC_SPECIES
Mg 24.30 Mg.upf
Fe 55.84 Fe.upf
Sb 121.76 Sb.upf
S 32.06 S.upf
ATOMIC_POSITIONS angstrom
Mg -0.0011 0.0533 3.1681
Fe 5.9172 4.1033 2.8429
Fe 3.0958 4.0195 -0.3639
Fe 0.0679 1.7512 1.1988
Fe 2.8894 1.8350 4.4055
Sb 2.3319 4.9520 2.0472
Sb 3.6533 0.9025 1.9944
Sb 0.9284 4.9191 -1.3925
Sb 5.0567 0.9355 5.4342
S 2.1017 2.1201 0.1841
S 3.8834 3.7344 3.8576
S 5.1362 3.5773 0.6419
S 0.8490 2.2773 3.3998
CELL_PARAMETERS angstrom
6.0570 -0.0767 -0.0034
-0.0696 5.8246 -2.2912
-0.0023 0.1066 6.3362

No. 5
! PBE-GGA MgTl2Fe2S4, relaxed; values from VASP
! Spin magnetization = 0.00 μB per formula unit
! Offset from the most stable computed form = 0.00 kJ/mol of atoms
&SYSTEM
  ibrav = 0, nat = 9, ntyp = 4
/
ATOMIC_SPECIES
Mg 24.30 Mg.upf
Tl 204.38 Tl.upf
Fe 55.84 Fe.upf
S 32.06 S.upf
ATOMIC_POSITIONS angstrom
Mg -0.0017 2.0286 6.2105
Tl 2.5050 1.5282 2.9212
Tl -0.0048 3.7661 1.5172
Fe 1.2491 0.0186 0.0382
Fe 3.7611 0.0178 0.0382
S -0.0016 3.6937 4.4341
S 2.5052 1.8099 -0.1370
S -0.0012 -0.0028 1.7561
S 2.5050 5.1973 2.7271
CELL_PARAMETERS angstrom
5.0139 0.0016 -0.0011
-2.5051 5.5485 -2.9478
-0.0009 -0.1127 7.4374

No. 6
! PBE-GGA MgTl2Fe2S4, relaxed; values from VASP
! Spin magnetization = 2.68 μB per formula unit
! Offset from the most stable computed form = 7.80 kJ/mol of atoms
&SYSTEM
  ibrav = 0, nat = 9, ntyp = 4
/
ATOMIC_SPECIES
Mg 24.30 Mg.upf
Tl 204.38 Tl.upf
Fe 55.84 Fe.upf
S 32.06 S.upf
ATOMIC_POSITIONS angstrom
Mg 2.4608 0.3437 5.4753
Tl 2.4608 2.1416 3.0185
Tl 0.0000 3.7960 -0.0038
Fe -1.2072 5.4377 -2.8596
Fe 1.2072 5.4377 -2.8596
S 0.0000 3.3710 4.8066
S 2.4608 1.6895 0.0933
S 0.0000 0.1061 1.9988
S 2.4608 5.0872 2.8409
CELL_PARAMETERS angstrom
4.9215 0.0000 0.0000
-2.4608 5.6320 -3.1012
0.0000 -0.2033 7.6025

No. 7
! PBE-GGA MgTlV4FeS8, relaxed; values from VASP
! Spin magnetization = 6.98 μB per formula unit
! Offset from the most stable computed form = 0.00 kJ/mol of atoms
&SYSTEM
  ibrav = 0, nat = 15, ntyp = 5
/
ATOMIC_SPECIES
Mg 24.30 Mg.upf
Tl 204.38 Tl.upf
V 50.94 V.upf
Fe 55.84 Fe.upf
S 32.06 S.upf
ATOMIC_POSITIONS angstrom
Mg 2.2557 1.7371 0.9754
Tl 7.9341 0.0013 6.5115
V 3.4258 1.7369 6.3787
V 5.1411 -0.0014 0.1943
V 2.8938 1.7371 3.8437
V 6.1302 -0.0011 2.9620
Fe 8.3504 1.7379 2.2921
S 5.6155 1.7383 -1.3881
S 2.8225 -0.0028 8.0650
S 4.5988 1.7383 1.9526
S 4.2123 -0.0027 4.8446
S 7.1395 1.7388 4.1443
S 1.5449 -0.0026 2.7027
S 1.1535 1.7382 5.3526
S 7.4150 -0.0022 1.1132
CELL_PARAMETERS angstrom
0.0000 3.4799 -0.0001
0.0296 -0.0002 8.8238
8.5193 -1.7401 -2.1394

No. 8
! PBE-GGA MgTlV4FeS8, relaxed; values from VASP
! Spin magnetization = 8.74 μB per formula unit
! Offset from the most stable computed form = 2.05 kJ/mol of atoms
&SYSTEM
  ibrav = 0, nat = 15, ntyp = 5
/
ATOMIC_SPECIES
Mg 24.30 Mg.upf
Tl 204.38 Tl.upf
V 50.94 V.upf
Fe 55.84 Fe.upf
S 32.06 S.upf
ATOMIC_POSITIONS angstrom
Mg -6.7515 3.0754 3.0697
Tl 4.5404 4.7141 5.5217
V 0.8004 5.3139 5.4101
V -3.8405 2.8848 1.2873
V -0.0444 3.0221 3.8926
V -2.9039 5.2264 2.8455
Fe 2.3571 3.2027 2.2757
S -5.4803 1.2724 2.1221
S 2.4123 6.9381 4.5795
S -2.5816 2.8169 3.4417
S -0.4974 5.4410 3.2858
S -3.7342 5.6652 5.0479
S 0.2602 2.5791 1.6214
S 2.1112 3.5154 4.4728
S -5.2357 4.8391 2.3115
CELL_PARAMETERS angstrom
-0.3728 -1.7976 2.9195
5.2210 5.9751 4.3440
-8.0789 4.0618 -0.5689

No. 9
! PBE-GGA Mg2V3FeS8, relaxed; values from VASP
! Spin magnetization = 6.38 μB per formula unit
! Calculated total energy = -6.0090 eV/atom
&SYSTEM
  ibrav = 0, nat = 14, ntyp = 4
/
ATOMIC_SPECIES
Mg 24.30 Mg.upf
V 50.94 V.upf
Fe 55.84 Fe.upf
S 32.06 S.upf
ATOMIC_POSITIONS angstrom
Mg -6.6615 3.5865 13.6607
Mg -0.9513 0.5137 1.9530
V -3.7610 4.2863 10.6436
V -6.8629 3.0391 9.4556
V -4.6016 0.8749 11.1282
Fe -3.8065 2.0500 7.8068
S -5.6341 3.0328 11.5440
S -2.0221 3.0791 6.7188
S -2.7621 0.0724 7.1471
S -4.7502 1.9811 5.6817
S -4.8506 4.0279 8.4664
S -2.8627 2.1190 9.9318
S -1.9786 1.0673 4.0698
S -5.5907 1.0211 8.8949
CELL_PARAMETERS angstrom
-6.1133 1.9778 3.2974
-1.5905 -2.3503 6.6428
0.0911 4.4726 5.6735

No. 10
! PBE-GGA Mg2Fe3WS8, relaxed; values from VASP
! Spin magnetization = 10.65 μB per formula unit
! Calculated total energy = -5.8339 eV/atom
&SYSTEM
  ibrav = 0, nat = 14, ntyp = 4
/
ATOMIC_SPECIES
Mg 24.30 Mg.upf
Fe 55.84 Fe.upf
W 183.84 W.upf
S 32.06 S.upf
ATOMIC_POSITIONS angstrom
Mg 7.2842 5.2060 12.6244
Mg 1.0426 0.6574 1.8053
Fe 4.1634 2.9318 7.2147
Fe 4.1672 2.9342 3.6045
Fe 7.2904 2.9290 9.0170
W 5.2032 5.8685 9.0171
S 6.1603 4.3843 10.6745
S 2.1636 1.4803 7.0704
S 3.1221 4.1292 5.4111
S 5.0372 1.4784 5.4104
S 5.2046 1.7343 9.0184
S 3.2895 4.3850 9.0192
S 2.1664 1.4791 3.7553
S 6.1632 4.3831 7.3594
CELL_PARAMETERS angstrom
6.2542 -0.0053 3.6043
2.0797 5.8736 3.6045
-0.0071 -0.0049 7.2209

No. 11
! PBE-GGA Mg2FeW3S8, relaxed; values from VASP
! Spin magnetization = 2.00 μB per formula unit
! Calculated total energy = -6.6496 eV/atom
&SYSTEM
  ibrav = 0, nat = 14, ntyp = 4
/
ATOMIC_SPECIES
Mg 24.30 Mg.upf
Fe 55.84 Fe.upf
W 183.84 W.upf
S 32.06 S.upf
ATOMIC_POSITIONS angstrom
Mg 7.7306 5.4703 13.4084
Mg 1.2313 0.8701 2.1338
Fe 3.8904 2.7487 6.7433
W 4.5854 3.2444 10.9081
W 7.1421 3.2433 9.4315
W 5.4364 5.6555 9.4313
S 6.5053 4.6026 11.2840
S 2.0495 1.4500 7.1215
S 3.0786 4.3607 5.3403
S 5.1374 1.4483 5.3380
S 5.2057 1.8537 9.0276
S 3.4802 4.2931 9.0283
S 2.3489 1.6621 4.0759
S 6.0676 4.2924 7.5366
CELL_PARAMETERS angstrom
6.2234 0.0931 3.7535
2.1616 5.8377 3.7533
0.1337 0.0951 7.2677

No. 12
! PBE-GGA Mg6FeSb, relaxed; values from VASP
! Spin magnetization = 2.07 μB per formula unit
! Offset from the most stable computed form = 0.00 kJ/mol of atoms
&SYSTEM
  ibrav = 0, nat = 16, ntyp = 3
/
ATOMIC_SPECIES
Mg 24.30 Mg.upf
Fe 55.84 Fe.upf
Sb 121.76 Sb.upf
ATOMIC_POSITIONS angstrom
Mg 0.0000 4.6516 6.1237
Mg 0.0000 1.6156 6.1237
Mg 0.0000 0.0000 3.5383
Mg 2.4244 4.6145 4.3361
Mg 2.4244 1.6527 4.3361
Mg 2.4244 0.0000 1.7849
Mg 0.0000 1.5180 0.8594
Mg 0.0000 4.7492 0.8594
Mg 0.0000 3.1336 8.8026
Mg 2.4244 1.4809 9.6004
Mg 2.4244 4.7863 9.6004
Mg 2.4244 3.1336 7.0492
Fe 0.0000 0.0000 8.7560
Fe 0.0000 3.1336 3.4917
Sb 2.4244 0.0000 7.1156
Sb 2.4244 3.1336 1.8513
CELL_PARAMETERS angstrom
4.8488 0.0000 0.0000
0.0000 6.2672 0.0000
0.0000 0.0000 10.5286

No. 13
! PBE-GGA Mg6FeSb, relaxed; values from VASP
! Spin magnetization = 2.27 μB per formula unit
! Offset from the most stable computed form = 2.50 kJ/mol of atoms
&SYSTEM
  ibrav = 0, nat = 16, ntyp = 3
/
ATOMIC_SPECIES
Mg 24.30 Mg.upf
Fe 55.84 Fe.upf
Sb 121.76 Sb.upf
ATOMIC_POSITIONS angstrom
Mg 0.0000 1.5083 6.1499
Mg 0.0000 4.5827 6.1499
Mg 2.4233 1.6299 4.3685
Mg 2.4233 4.4611 4.3685
Mg 2.4233 0.0000 7.1192
Mg 2.4233 0.0000 1.7130
Mg 0.0000 4.5539 0.8790
Mg 0.0000 1.5372 0.8790
Mg 2.4233 4.6755 9.6393
Mg 2.4233 1.4156 9.6393
Mg 2.4233 3.0455 1.8483
Mg 2.4233 3.0455 6.9839
Fe 0.0000 0.0000 8.7999
Fe 0.0000 3.0455 3.5290
Sb 0.0000 0.0000 3.4982
Sb 0.0000 3.0455 8.7690
CELL_PARAMETERS angstrom
4.8466 0.0000 0.0000
0.0000 6.0910 0.0000
0.0000 0.0000 10.5417

No. 14
! PBE-GGA Mg6FeSn, relaxed; values from VASP
! Spin magnetization = 2.18 μB per formula unit
! Offset from the most stable computed form = 0.00 kJ/mol of atoms
&SYSTEM
  ibrav = 0, nat = 16, ntyp = 3
/
ATOMIC_SPECIES
Mg 24.30 Mg.upf
Fe 55.84 Fe.upf
Sn 118.71 Sn.upf
ATOMIC_POSITIONS angstrom
Mg 0.0309 -1.7451 0.4124
Mg 1.6180 -4.5740 0.5134
Mg -5.6689 -6.6864 3.7162
Mg -7.9438 -6.1304 1.7290
Mg -6.3209 -9.0229 1.8324
Mg -5.0294 -6.4344 0.7271
Mg -2.7316 -6.8528 2.6723
Mg -4.2468 -4.1522 2.5758
Mg -2.9065 -1.5787 1.4562
Mg -2.0789 -6.5522 -0.3334
Mg -3.5584 -3.9151 -0.4276
Mg -2.2670 -1.3267 -1.5329
Fe -1.3753 -4.3543 1.5650
Fe -7.2401 -3.9325 3.6274
Sn -0.7353 -4.1021 -1.4243
Sn -6.6002 -3.6803 0.6381
CELL_PARAMETERS angstrom
-1.6626 -1.0938 -4.5043
3.1024 -5.5296 0.1976
-8.6273 -4.6859 4.3224

No. 15
! PBE-GGA Mg6FeSn, relaxed; values from VASP
! Spin magnetization = 2.47 μB per formula unit
! Offset from the most stable computed form = 0.53 kJ/mol of atoms
&SYSTEM
  ibrav = 0, nat = 16, ntyp = 3
/
ATOMIC_SPECIES
Mg 24.30 Mg.upf
Fe 55.84 Fe.upf
Sn 118.71 Sn.upf
ATOMIC_POSITIONS angstrom
Mg 0.7702 0.3677 5.3062
Mg 3.3691 -1.2499 5.9549
Mg 4.1141 -1.9074 1.7111
Mg 1.3842 -0.2083 1.0298
Mg 0.6216 2.1095 2.7698
Mg 3.2258 0.5599 3.4946
Mg 4.3089 1.9892 10.1946
Mg 1.7349 3.5913 9.5522
Mg 2.4798 2.9338 5.3084
Mg 4.9229 1.4132 5.9182
Mg 4.1603 3.7309 7.6583
Mg 1.5916 5.4011 7.0919
Fe -0.9920 -0.4440 2.8672
Fe 2.5466 1.1774 7.7557
Sn 1.5964 -2.0472 3.5216
Sn -0.0378 2.7940 7.1189
CELL_PARAMETERS angstrom
-2.6190 -3.0428 2.9052
5.1729 -3.2197 1.2911
1.9044 6.4626 8.4857

No. 16
! PBE-GGA SrMg14Fe, relaxed; values from VASP
! Spin magnetization = 2.45 μB per formula unit
! Offset from the most stable computed form = 0.00 kJ/mol of atoms
&SYSTEM
  ibrav = 0, nat = 16, ntyp = 3
/
ATOMIC_SPECIES
Sr 87.62 Sr.upf
Mg 24.30 Mg.upf
Fe 55.84 Fe.upf
ATOMIC_POSITIONS angstrom
Sr 3.0870 2.1066 5.2034
Mg 3.0870 -3.8261 0.0000
Mg 3.0870 1.9435 0.0000
Mg 1.5009 -0.8085 5.2034
Mg 1.5665 -0.9365 0.0000
Mg 4.6730 -0.8085 5.2034
Mg 4.6074 -0.9365 0.0000
Mg 1.4965 0.9186 2.5701
Mg 1.4965 0.9186 7.8368
Mg 4.6774 0.9186 2.5701
Mg 4.6774 0.9186 7.8368
Mg 3.0870 -2.0890 2.8203
Mg 3.0870 -2.0890 7.5866
Mg 3.0870 3.9086 2.4416
Mg 3.0870 3.9086 7.9653
Fe 3.0870 -4.0477 5.2034
CELL_PARAMETERS angstrom
3.0870 -5.8331 0.0000
3.0870 5.8331 0.0000
0.0000 0.0000 10.4069

No. 17
! PBE-GGA SrMg14Fe, relaxed; values from VASP
! Spin magnetization = 0.01 μB per formula unit
! Offset from the most stable computed form = 5.13 kJ/mol of atoms
&SYSTEM
  ibrav = 0, nat = 16, ntyp = 3
/
ATOMIC_SPECIES
Sr 87.62 Sr.upf
Mg 24.30 Mg.upf
Fe 55.84 Fe.upf
ATOMIC_POSITIONS angstrom
Sr -5.7255 -3.1490 1.5063
Mg 0.1005 -4.1154 2.8904
Mg -4.8521 -5.3520 3.6440
Mg -1.0746 -2.9421 -2.3820
Mg -6.0682 -3.9520 -1.5635
Mg -0.2353 -5.0171 -0.2714
Mg -5.1636 -6.1884 0.7112
Mg -3.3409 -2.0972 -0.6671
Mg -8.8838 -3.3708 0.2849
Mg -2.4953 -4.1880 1.4595
Mg -8.0381 -5.4616 2.4115
Mg -3.6744 -2.9926 -3.8065
Mg -9.2172 -4.2662 -2.8545
Mg -3.2195 -5.2027 -1.5094
Mg -7.9354 -6.2864 -0.6994
Fe -0.7673 -2.0097 0.6547
CELL_PARAMETERS angstrom
-0.6484 -1.7412 -6.1049
1.7409 -4.3042 4.3779
-9.9163 -2.2786 1.7031

No. 18
! PBE-GGA Mg14VFe, relaxed; values from VASP
! Spin magnetization = 6.01 μB per formula unit
! Offset from the most stable computed form = 0.00 kJ/mol of atoms
&SYSTEM
  ibrav = 0, nat = 16, ntyp = 3
/
ATOMIC_SPECIES
Mg 24.30 Mg.upf
V 50.94 V.upf
Fe 55.84 Fe.upf
ATOMIC_POSITIONS angstrom
Mg -1.5708 4.5375 1.2386
Mg -1.5633 4.5418 6.1930
Mg 3.1433 1.8138 1.2386
Mg 3.1433 1.8052 6.1930
Mg 1.5708 4.5375 1.2386
Mg 1.5633 4.5418 6.1930
Mg 1.5137 0.9408 3.6913
Mg 1.5137 0.9408 8.6948
Mg 0.0000 3.5627 3.6913
Mg 0.0000 3.5627 8.6948
Mg 4.7728 0.9408 3.6913
Mg 4.7728 0.9408 8.6948
Mg 3.1433 3.6296 3.7237
Mg 3.1433 3.6296 8.6624
V 0.0000 1.8148 6.1930
Fe 0.0000 1.8148 1.2386
CELL_PARAMETERS angstrom
6.2866 0.0000 0.0000
-3.1433 5.4444 0.0000
0.0000 0.0000 9.9088

No. 19
! PBE-GGA Mg6VFe, relaxed; values from VASP
! Spin magnetization = 5.45 μB per formula unit
! Offset from the most stable computed form = 1.16 kJ/mol of atoms
&SYSTEM
  ibrav = 0, nat = 16, ntyp = 3
/
ATOMIC_SPECIES
Mg 24.30 Mg.upf
V 50.94 V.upf
Fe 55.84 Fe.upf
ATOMIC_POSITIONS angstrom
Mg 2.4293 1.5270 4.4535
Mg 2.4293 4.5652 4.4535
Mg 0.0000 4.5853 0.9240
Mg 0.0000 1.5069 0.9240
Mg 0.0000 0.0000 3.4000
Mg 0.0000 3.0461 3.4460
Mg 2.4293 4.5730 9.7484
Mg 2.4293 1.5191 9.7484
Mg 0.0000 1.5392 6.2189
Mg 0.0000 4.5530 6.2189
Mg 0.0000 3.0461 8.6949
Mg 0.0000 0.0000 8.7409
V 2.4293 3.0461 1.8000
V 2.4293 0.0000 7.0949
Fe 2.4293 0.0000 1.7786
Fe 2.4293 3.0461 7.0735
CELL_PARAMETERS angstrom
4.8585 0.0000 0.0000
0.0000 6.0922 0.0000
0.0000 0.0000 10.5898